Here is a geometry-optimized GdAl3Cu structure from the Materials Project. Energies are from PBE. Values from VASP.

Values from the calculation:
As for the symmetry: I4mm (107). The density is 5.471 g/cm³. For the formation enthalpy at 0 K, the calculation gives -0.450 eV/atom.

The structure in Quantum ESPRESSO input format:
```
&SYSTEM
  ibrav = 0, nat = 5, ntyp = 3
/
ATOMIC_SPECIES
Gd 157.25 Gd.upf
Al 26.98 Al.upf
Cu 63.55 Cu.upf
ATOMIC_POSITIONS crystal
Gd 0.000 0.000 0.000
Al 0.249 0.749 0.500
Al 0.408 0.408 0.000
Al 0.749 0.249 0.500
Cu 0.629 0.629 0.000
CELL_PARAMETERS angstrom
-2.077 2.077 5.305
2.077 -2.077 5.305
2.077 2.077 -5.305
```

---

Here is a geometry-optimized CaZnF4 structure from the Materials Project. Energies are from PBE. Values from VASP.

Values from the calculation:
As for the symmetry: I4_1/a (88). The density is 3.751 g/cm³. For the formation enthalpy at 0 K, the calculation gives -3.407 eV/atom.

The structure in Quantum ESPRESSO input format:
```
&SYSTEM
  ibrav = 0, nat = 12, ntyp = 3
/
ATOMIC_SPECIES
Ca 40.08 Ca.upf
Zn 65.41 Zn.upf
F 19.00 F.upf
ATOMIC_POSITIONS crystal
Ca 0.375 0.125 0.250
Ca 0.625 0.875 0.750
Zn 0.125 0.375 0.750
Zn 0.875 0.625 0.250
F 0.036 0.726 0.837
F 0.226 0.889 0.690
F 0.301 0.464 0.190
F 0.389 0.199 0.663
F 0.611 0.801 0.337
F 0.699 0.536 0.810
F 0.774 0.111 0.310
F 0.964 0.274 0.163
CELL_PARAMETERS angstrom
-2.676 2.676 5.610
2.676 -2.676 5.610
2.676 2.676 -5.610
```

---

Here is a geometry-optimized Dy2Si3Pt3 structure from the Materials Project. Energies are from PBE. Values from VASP.

Values from the calculation:
As for the symmetry: P4/mmm (123). The density is 10.226 g/cm³. The total magnetic moment comes out at 0.00 Bohr magnetons per cell. For the formation enthalpy at 0 K, the calculation gives 0.378 eV/atom.

The structure in Quantum ESPRESSO input format:
```
&SYSTEM
  ibrav = 0, nat = 8, ntyp = 3
/
ATOMIC_SPECIES
Dy 162.50 Dy.upf
Si 28.09 Si.upf
Pt 195.08 Pt.upf
ATOMIC_POSITIONS crystal
Dy 0.000 0.000 0.248
Dy 0.000 0.000 0.752
Si 0.000 0.000 0.000
Si 0.000 0.000 0.387
Si 0.000 0.000 0.613
Pt 0.000 0.000 0.115
Pt 0.000 0.000 0.500
Pt 0.000 0.000 0.885
CELL_PARAMETERS angstrom
2.793 0.000 0.000
0.000 2.793 0.000
0.000 0.000 20.700
```

---

Here is a geometry-optimized Na2Bi2C4SO16 structure from the Materials Project. Energies are from PBE. Values from VASP.

Values from the calculation:
As for the symmetry: Fddd (70). The density is 3.214 g/cm³. The total magnetic moment comes out at 2.00 Bohr magnetons per cell. For the formation enthalpy at 0 K, the calculation gives -1.741 eV/atom.

The structure in Quantum ESPRESSO input format:
```
&SYSTEM
  ibrav = 0, nat = 50, ntyp = 5
/
ATOMIC_SPECIES
Na 22.99 Na.upf
Bi 208.98 Bi.upf
C 12.01 C.upf
S 32.06 S.upf
O 16.00 O.upf
ATOMIC_POSITIONS crystal
Na 0.084 0.666 0.666
Na 0.334 0.916 0.916
Na 0.666 0.084 0.084
Na 0.916 0.334 0.334
Bi 0.000 0.500 0.500
Bi 0.500 0.000 0.500
Bi 0.500 0.500 0.000
Bi 0.500 0.500 0.500
C 0.275 0.654 0.287
C 0.284 0.287 0.654
C 0.287 0.284 0.275
C 0.346 0.725 0.716
C 0.654 0.275 0.284
C 0.713 0.716 0.725
C 0.716 0.713 0.346
C 0.725 0.346 0.713
S 0.125 0.125 0.125
S 0.875 0.875 0.875
O 0.064 0.298 0.072
O 0.065 0.072 0.298
O 0.072 0.065 0.064
O 0.152 0.648 0.300
O 0.153 0.295 0.385
O 0.156 0.407 0.649
O 0.288 0.649 0.407
O 0.295 0.153 0.668
O 0.298 0.064 0.065
O 0.300 0.400 0.152
O 0.332 0.615 0.705
O 0.351 0.712 0.844
O 0.352 0.848 0.600
O 0.385 0.668 0.153
O 0.400 0.300 0.648
O 0.407 0.156 0.288
O 0.593 0.844 0.712
O 0.600 0.700 0.352
O 0.615 0.332 0.847
O 0.648 0.152 0.400
O 0.649 0.288 0.156
O 0.668 0.385 0.295
O 0.700 0.600 0.848
O 0.702 0.936 0.935
O 0.705 0.847 0.332
O 0.712 0.351 0.593
O 0.844 0.593 0.351
O 0.847 0.705 0.615
O 0.848 0.352 0.700
O 0.928 0.935 0.936
O 0.935 0.928 0.702
O 0.936 0.702 0.928
CELL_PARAMETERS angstrom
0.000 7.460 7.655
7.238 0.000 7.655
7.238 7.460 0.000
```

---

Here is a geometry-optimized Tl3Ir structure from the Materials Project. Energies are from PBE. Values from VASP.

Values from the calculation:
As for the symmetry: Fm-3m (225). The density is 13.954 g/cm³. The total magnetic moment comes out at 0.00 Bohr magnetons per cell. For the formation enthalpy at 0 K, the calculation gives 0.523 eV/atom. The energy above the lowest structure with this stoichiometry is 0 meV/atom.

The structure in Quantum ESPRESSO input format:
```
&SYSTEM
  ibrav = 0, nat = 4, ntyp = 2
/
ATOMIC_SPECIES
Tl 204.38 Tl.upf
Ir 192.22 Ir.upf
ATOMIC_POSITIONS crystal
Tl 0.000 0.000 0.000
Tl 0.250 0.250 0.250
Tl 0.750 0.750 0.750
Ir 0.500 0.500 0.500
CELL_PARAMETERS angstrom
0.000 3.632 3.632
3.632 0.000 3.632
3.632 3.632 0.000
```

---

Here is a geometry-optimized Na3CeP2O8 structure from the Materials Project. Energies are from PBE. Values from VASP.

Values from the calculation:
As for the symmetry: Pca2_1 (29). The density is 3.663 g/cm³. The total magnetic moment comes out at 8.01 Bohr magnetons per cell. For the formation enthalpy at 0 K, the calculation gives -2.912 eV/atom.

The structure in Quantum ESPRESSO input format:
```
&SYSTEM
  ibrav = 0, nat = 112, ntyp = 4
/
ATOMIC_SPECIES
Na 22.99 Na.upf
Ce 140.12 Ce.upf
P 30.97 P.upf
O 16.00 O.upf
ATOMIC_POSITIONS crystal
Na 0.029 0.029 0.060
Na 0.047 0.498 0.821
Na 0.116 0.999 0.721
Na 0.135 0.488 0.000
Na 0.204 0.982 0.902
Na 0.220 0.509 0.664
Na 0.280 0.509 0.164
Na 0.296 0.982 0.402
Na 0.365 0.488 0.500
Na 0.384 0.999 0.221
Na 0.453 0.498 0.321
Na 0.471 0.029 0.560
Na 0.529 0.971 0.060
Na 0.547 0.502 0.821
Na 0.616 0.001 0.721
Na 0.635 0.512 0.000
Na 0.704 0.018 0.902
Na 0.720 0.491 0.664
Na 0.780 0.491 0.164
Na 0.796 0.018 0.402
Na 0.865 0.512 0.500
Na 0.884 0.001 0.221
Na 0.953 0.502 0.321
Na 0.971 0.971 0.560
Ce 0.114 0.440 0.474
Ce 0.135 0.039 0.247
Ce 0.365 0.039 0.747
Ce 0.386 0.440 0.974
Ce 0.614 0.560 0.474
Ce 0.635 0.961 0.247
Ce 0.865 0.961 0.747
Ce 0.886 0.560 0.974
P 0.020 0.977 0.397
P 0.021 0.521 0.153
P 0.229 0.504 0.325
P 0.230 0.962 0.569
P 0.270 0.962 0.069
P 0.271 0.504 0.825
P 0.479 0.521 0.653
P 0.480 0.977 0.897
P 0.520 0.023 0.397
P 0.521 0.479 0.153
P 0.729 0.496 0.325
P 0.730 0.038 0.569
P 0.770 0.038 0.069
P 0.771 0.496 0.825
P 0.979 0.479 0.653
P 0.980 0.023 0.897
O 0.000 0.490 0.072
O 0.000 0.510 0.572
O 0.009 0.268 0.933
O 0.013 0.025 0.818
O 0.028 0.803 0.936
O 0.032 0.803 0.170
O 0.059 0.591 0.699
O 0.116 0.383 0.168
O 0.121 0.470 0.325
O 0.129 0.013 0.398
O 0.136 0.105 0.557
O 0.190 0.078 0.024
O 0.218 0.683 0.548
O 0.224 0.287 0.784
O 0.236 0.499 0.904
O 0.241 0.752 0.790
O 0.248 0.968 0.150
O 0.252 0.968 0.650
O 0.259 0.752 0.290
O 0.264 0.499 0.404
O 0.276 0.287 0.284
O 0.282 0.683 0.048
O 0.310 0.078 0.524
O 0.364 0.105 0.057
O 0.371 0.013 0.898
O 0.379 0.470 0.825
O 0.384 0.383 0.668
O 0.441 0.591 0.199
O 0.468 0.803 0.670
O 0.472 0.803 0.436
O 0.487 0.025 0.318
O 0.491 0.268 0.433
O 0.500 0.490 0.572
O 0.500 0.510 0.072
O 0.509 0.732 0.933
O 0.513 0.975 0.818
O 0.528 0.197 0.936
O 0.532 0.197 0.170
O 0.559 0.409 0.699
O 0.616 0.617 0.168
O 0.621 0.530 0.325
O 0.629 0.987 0.398
O 0.636 0.895 0.557
O 0.690 0.922 0.024
O 0.718 0.317 0.548
O 0.724 0.713 0.784
O 0.736 0.501 0.904
O 0.741 0.248 0.790
O 0.748 0.032 0.150
O 0.752 0.032 0.650
O 0.759 0.248 0.290
O 0.764 0.501 0.404
O 0.776 0.713 0.284
O 0.782 0.317 0.048
O 0.810 0.922 0.524
O 0.864 0.895 0.057
O 0.871 0.987 0.898
O 0.879 0.530 0.825
O 0.884 0.617 0.668
O 0.941 0.409 0.199
O 0.968 0.197 0.670
O 0.972 0.197 0.436
O 0.987 0.975 0.318
O 0.991 0.732 0.433
CELL_PARAMETERS angstrom
14.187 0.000 0.000
0.000 5.409 0.000
0.000 0.000 18.859
```